# KLaMg6O8 | the Materials Project | PBE-GGA | optimized geometry
# * total magnetization: 0.00 μB/f.u.
# * V: 195.64 Å³/f.u.
# * calculated formation energy: -2731 meV/atom
# * polymorph energy (0 for the lowest one): 0 meV/atom
# * uncorrected energy: -93.42 eV per cell
data_KLaMg6O8
_cell_length_a 4.638
_cell_length_b 4.638
_cell_length_c 9.095
_cell_angle_alpha 90.00
_cell_angle_beta 90.00
_cell_angle_gamma 90.00
_space_group_name_H-M_alt 'P 4/m m m'
_space_group_IT_number 123
_space_group_name_Hall '-P 4 2'
loop_
_atom_site_label
_atom_site_type_symbol
_atom_site_fract_x
_atom_site_fract_y
_atom_site_fract_z
_atom_site_occupancy
K1 K 0.000 0.000 0.000 1
La1 La 0.500 0.500 0.000 1
Mg1 Mg 0.000 0.000 0.500 1
Mg2 Mg 0.000 0.500 0.275 1
Mg3 Mg 0.500 0.500 0.500 1
O1 O 0.000 0.000 0.281 1
O2 O 0.000 0.500 0.000 1
O3 O 0.000 0.500 0.500 1
O4 O 0.500 0.500 0.273 1